{"formula": "NaCrP2S6", "functional": "PBE-GGA", "state": "optimized geometry", "lattice": [[7.2419, 0.0000, 0.0000], [0.0000, 5.9658, 0.0000], [-6.6744, 0.0000, 21.4081]], "species": ["Na", "Na", "Na", "Na", "Cr", "Cr", "Cr", "Cr", "P", "P", "P", "P", "P", "P", "P", "P", "S", "S", "S", "S", "S", "S", "S", "S", "S", "S", "S", "S", "S", "S", "S", "S", "S", "S", "S", "S", "S", "S", "S", "S"], "frac_coords": [[0.1757, 0.0776, 0.2191], [0.1757, 0.4224, 0.7191], [0.8243, 0.5776, 0.2809], [0.8243, 0.9224, 0.7809], [0.4394, 0.7484, 0.9595], [0.4394, 0.7516, 0.4595], [0.5606, 0.2484, 0.5405], [0.5606, 0.2516, 0.0405], [0.1800, 0.2419, 0.8902], [0.1800, 0.2581, 0.3902], [0.4629, 0.2455, 0.3710], [0.4629, 0.2545, 0.8710], [0.5371, 0.7455, 0.1290], [0.5371, 0.7545, 0.6290], [0.8200, 0.7419, 0.6098], [0.8200, 0.7581, 0.1098], [0.0307, 0.6217, 0.1780], [0.0307, 0.8783, 0.6780], [0.1299, 0.5888, 0.4033], [0.1299, 0.9112, 0.9033], [0.2591, 0.0777, 0.4768], [0.2591, 0.4223, 0.9768], [0.3682, 0.5775, 0.5488], [0.3682, 0.9225, 0.0488], [0.4491, 0.0992, 0.7920], [0.4491, 0.4008, 0.2920], [0.4766, 0.0888, 0.6276], [0.4766, 0.4112, 0.1276], [0.5234, 0.5888, 0.8724], [0.5234, 0.9112, 0.3724], [0.5509, 0.5992, 0.7080], [0.5509, 0.9008, 0.2080], [0.6318, 0.0775, 0.9512], [0.6318, 0.4225, 0.4512], [0.7409, 0.5777, 0.0232], [0.7409, 0.9223, 0.5232], [0.8701, 0.0888, 0.0967], [0.8701, 0.4112, 0.5967], [0.9693, 0.1217, 0.3220], [0.9693, 0.3783, 0.8220]], "magnetic_moment_mub_per_cell": 12.0, "total_energy_ev_per_atom": -5.210, "crystal_system": "monoclinic", "e_above_lowest_polymorph_ev_per_fu": 0.16, "ef_ev_per_fu": -8.497}